Here is a relaxed Ce2Ni12P5 crystal from the Materials Project. Energies are from PBE-GGA.

## Properties
ΔH_f (0 K) ... -0.69 eV per atom
M_tot ... 0.923 μB per formula unit

Geometry as POSCAR:
```
Ce2Ni12P5
1.0
-1.325 1.266 -3.171
5.699 -7.457 -5.359
-7.467 -10.721 -1.161
Ni P Ce
24 10 4
Cartesian
-4.468 -10.833 -5.632
-3.507 -2.742 -2.802
-3.295 -4.963 -1.663
2.915 -4.118 -3.920
1.186 -10.633 -5.800
1.376 -6.078 -4.060
-0.818 -9.461 -4.494
-2.275 -7.451 -5.197
-4.279 -6.278 -3.892
2.390 -5.168 -6.235
-1.123 -10.373 -6.846
0.202 -11.948 -8.029
-6.008 -12.794 -5.771
-1.970 -6.539 -2.846
-0.956 -5.331 -4.902
-2.073 -0.758 -2.609
-0.048 -0.387 -1.192
-5.483 -11.744 -3.457
-3.044 -16.525 -8.500
0.415 -14.170 -6.889
-2.137 -11.581 -4.789
-6.501 -9.493 -4.247
3.408 -7.419 -5.444
-1.019 -16.154 -7.083
-0.291 -12.299 -5.848
3.156 -9.554 -6.192
0.839 -4.089 -5.156
0.015 -0.735 -3.472
-2.802 -4.613 -3.844
-6.249 -7.358 -3.500
-2.773 -9.484 -5.801
-3.932 -12.823 -4.535
-0.320 -7.427 -3.890
-3.108 -16.177 -6.219
-2.765 -13.377 -7.359
-3.841 -9.089 -3.082
-0.328 -3.534 -2.332
0.748 -7.823 -6.609
```

=====

Here is a relaxed CeNiP crystal from the Materials Project. Energies are from PBE-GGA.

## Properties
ΔH_f (0 K) ... -1.17 eV per atom

Geometry as POSCAR:
```
CeNiP
1.0
-1.920 1.495 3.142
1.050 -3.832 -0.048
13.827 3.707 6.684
Ce P Ni
4 4 4
Cartesian
3.457 0.927 1.671
10.370 2.780 5.013
6.913 1.853 3.342
0.000 0.000 0.000
12.109 1.173 6.840
8.751 0.273 5.217
0.848 0.196 2.938
4.206 1.096 4.561
1.784 -1.595 1.848
5.250 -0.665 3.524
11.174 2.964 7.930
7.707 2.034 6.254
```

=====

Here is a relaxed Ce8Ni18P11 crystal from the Materials Project. Energies are from PBE-GGA.

## Properties
ΔH_f (0 K) ... -0.96 eV per atom
M_tot ... 0.046 μB per formula unit

Geometry as POSCAR:
```
Ce8Ni18P11
1.0
9.080 -15.727 0.000
9.080 15.727 0.000
0.000 0.000 3.875
Ni Ce P
36 16 22
Cartesian
13.033 2.960 0.000
3.080 -4.180 1.938
9.080 14.325 0.000
11.159 -10.969 1.938
1.214 0.701 0.000
14.803 -0.551 0.000
9.080 -7.526 1.938
7.102 -4.100 1.938
3.357 -0.551 0.000
7.000 -10.969 1.938
13.000 -0.578 1.938
11.058 -4.100 1.938
11.066 6.389 0.000
14.105 -5.882 0.000
13.132 -7.582 1.938
6.013 -9.274 0.000
9.080 -14.125 1.938
9.080 -0.563 1.938
15.079 -4.180 1.938
16.773 -0.801 1.938
7.094 6.389 0.000
12.146 -9.274 0.000
5.127 2.960 0.000
9.080 2.949 0.000
9.080 9.807 0.000
16.946 0.701 0.000
10.281 -12.544 0.000
16.004 -2.632 0.000
2.155 -2.632 0.000
11.038 -0.570 0.000
1.387 -0.801 1.938
5.160 -0.578 1.938
7.878 -12.544 0.000
5.028 -7.582 1.938
7.121 -0.570 0.000
4.055 -5.882 0.000
5.185 -2.994 0.000
5.121 5.257 1.938
11.074 -6.394 0.000
12.974 -2.994 0.000
9.080 -9.739 0.000
11.072 8.663 1.938
9.080 -2.939 0.000
15.139 1.744 1.938
7.114 1.806 1.938
9.080 12.238 1.938
9.080 5.242 1.938
7.085 -6.394 0.000
7.087 8.663 1.938
13.038 5.257 1.938
11.046 1.806 1.938
3.021 1.744 1.938
13.035 7.525 0.000
3.266 -1.886 1.938
5.125 7.525 0.000
9.080 -5.242 1.938
14.894 -1.886 1.938
9.080 7.519 0.000
9.080 0.676 0.000
12.981 0.709 0.000
11.052 4.104 0.000
3.203 4.130 0.000
7.089 -8.645 1.938
7.104 10.888 0.000
5.179 0.709 0.000
5.138 -5.265 1.938
9.080 -11.956 1.938
11.070 -8.645 1.938
14.957 4.130 0.000
11.055 10.888 0.000
13.022 -5.265 1.938
7.108 4.104 0.000
7.128 -1.817 1.938
11.031 -1.817 1.938
```

=====

Here is a relaxed CeNi10P4 crystal from the Materials Project. Energies are from PBE-GGA.

## Properties
ΔH_f (0 K) ... -0.60 eV per atom
M_tot ... 0.238 μB per formula unit

Geometry as POSCAR:
```
CeNi10P4
1.0
3.640 0.000 0.000
0.000 9.217 0.000
0.000 0.000 21.956
Ce Ni P
4 40 16
Cartesian
0.910 1.855 2.362
2.730 2.754 13.340
2.730 7.363 19.595
0.910 6.463 8.616
2.730 6.381 0.701
2.730 8.758 12.791
2.730 1.895 7.229
0.910 0.176 6.726
2.730 3.841 0.691
2.730 8.450 10.287
0.910 4.938 11.814
0.910 2.836 21.255
2.730 8.888 0.836
2.730 9.041 15.230
0.910 7.623 2.135
0.910 4.785 4.252
2.730 3.132 4.734
2.730 7.741 6.244
0.910 7.445 11.679
0.910 3.900 15.835
0.910 0.459 9.165
0.910 5.376 21.265
2.730 1.773 10.277
2.730 0.907 17.509
0.910 3.014 8.843
0.910 8.311 4.447
0.910 2.714 18.207
0.910 1.476 15.712
2.730 6.504 3.749
0.910 0.330 21.120
2.730 0.709 4.857
2.730 1.595 19.821
2.730 4.150 20.143
2.730 5.515 15.425
0.910 3.702 6.531
2.730 4.279 10.142
0.910 5.068 1.813
2.730 5.317 6.121
2.730 4.432 17.705
0.910 7.323 14.728
2.730 6.204 13.114
0.910 8.509 17.099
0.910 6.085 17.222
0.910 0.767 11.670
0.910 7.508 21.934
2.730 8.646 3.055
2.730 8.985 8.091
2.730 7.329 16.616
2.730 1.710 0.022
0.910 4.841 19.069
0.910 2.899 11.000
0.910 5.180 14.033
2.730 6.318 10.956
0.910 0.232 13.866
2.730 2.720 16.318
2.730 4.038 7.923
2.730 4.377 2.887
0.910 1.889 5.340
0.910 0.571 18.901
0.910 6.497 5.638
```

=====

Here is a relaxed Ce9Ni26P12 crystal from the Materials Project. Energies are from PBE-GGA.

## Properties
ΔH_f (0 K) ... -0.81 eV per atom
M_tot ... 3.206 μB per formula unit

Geometry as POSCAR:
```
Ce9Ni26P12
1.0
7.185 -12.445 0.000
7.185 12.445 0.000
0.000 0.000 3.848
Ni P Ce
26 12 9
Cartesian
5.798 -4.949 0.000
9.286 0.640 0.000
10.558 -4.695 1.924
7.185 7.730 1.924
4.083 2.357 1.924
12.292 -1.199 1.924
7.185 -10.046 1.924
7.185 -5.559 1.924
5.025 -6.796 1.924
2.078 -1.199 1.924
5.197 7.722 0.000
11.273 4.083 0.000
3.097 4.083 0.000
8.572 -4.949 0.000
9.172 7.722 0.000
7.185 -2.547 0.000
7.185 4.148 0.000
8.398 -0.953 1.924
10.287 2.357 1.924
5.963 -3.443 1.924
3.812 -4.695 1.924
5.972 -0.953 1.924
8.406 -3.443 1.924
5.084 0.640 0.000
9.345 -6.796 1.924
0.000 0.000 1.924
7.185 6.456 0.000
10.405 0.032 1.924
3.915 -6.036 0.000
10.455 -6.036 0.000
9.140 8.995 1.924
5.186 2.994 0.000
12.360 3.418 1.924
9.183 2.994 0.000
2.010 3.418 1.924
7.185 -0.373 0.000
3.965 0.032 1.924
5.230 8.995 1.924
10.250 -2.379 0.000
9.159 5.288 1.924
4.120 -2.379 0.000
7.185 -7.687 0.000
1.992 1.150 0.000
7.185 10.144 0.000
7.185 1.868 1.924
12.378 1.150 0.000
5.210 5.288 1.924
```

=====

Here is a relaxed Ce2Si2NiPt crystal from the Materials Project. Energies are from PBE-GGA.

## Properties
ΔH_f (0 K) ... -0.92 eV per atom
M_tot ... 0.677 μB per formula unit

Geometry as POSCAR:
```
Ce2Si2NiPt
1.0
-1.990 2.078 7.199
1.990 -2.078 7.199
1.990 2.078 -7.199
Si Pt Ni Ce
2 1 1 2
Cartesian
0.000 0.000 5.950
1.990 0.000 2.516
0.000 0.000 8.421
1.990 0.000 4.824
0.000 0.000 14.366
0.000 2.078 3.635
```

=====

Here is a relaxed Ce2NiSn2Pt crystal from the Materials Project. Energies are from PBE-GGA.

## Properties
ΔH_f (0 K) ... -0.78 eV per atom
M_tot ... 0.017 μB per formula unit

Geometry as POSCAR:
```
Ce2NiSn2Pt
1.0
4.577 0.000 0.000
0.000 7.381 0.000
0.000 0.000 7.916
Sn Pt Ce Ni
4 2 4 2
Cartesian
0.000 1.296 5.179
2.289 6.029 6.532
0.000 4.987 2.737
2.289 2.338 1.384
2.289 5.299 1.264
2.289 1.608 6.652
0.000 3.784 7.483
2.289 3.573 4.381
0.000 0.093 0.433
2.289 7.264 3.536
0.000 5.854 5.243
0.000 2.164 2.673
```

=====

Here is a relaxed CeSi4Ni9 crystal from the Materials Project. Energies are from PBE-GGA.

## Properties
ΔH_f (0 K) ... -0.58 eV per atom
M_tot ... 0.194 μB per formula unit

Geometry as POSCAR:
```
CeSi4Ni9
1.0
-3.915 3.915 5.710
3.915 -3.915 5.710
3.915 3.915 -5.710
Ni Si Ce
18 8 2
Cartesian
6.235 0.540 0.000
1.033 4.948 3.586
3.915 0.000 0.000
3.375 2.319 5.710
-2.319 3.375 5.710
-1.033 2.882 3.586
-1.033 4.948 2.125
0.540 1.596 0.000
0.000 3.915 0.000
1.033 2.882 2.125
4.948 -1.033 3.586
-0.540 1.596 5.710
4.948 1.033 2.125
2.319 3.375 0.000
2.882 -1.033 2.125
2.882 1.033 3.586
4.456 2.319 0.000
1.596 0.540 5.710
2.579 -1.337 4.375
2.579 1.337 1.336
1.337 2.579 7.046
1.337 5.252 -1.336
2.579 -1.337 7.046
1.337 2.579 4.375
1.337 5.252 1.336
2.579 1.337 -1.336
0.000 0.000 8.566
0.000 0.000 2.855
```

=====

Here is a relaxed Ce2Si5Ni3 crystal from the Materials Project. Energies are from PBE-GGA.

## Properties
ΔH_f (0 K) ... -0.78 eV per atom
M_tot ... 0.099 μB per formula unit

Geometry as POSCAR:
```
Ce2Si5Ni3
1.0
-3.290 5.040 5.205
-6.327 0.970 -4.727
3.278 -5.817 4.328
Si Ce Ni
10 4 6
Cartesian
-3.305 0.377 0.027
1.498 -3.016 4.554
-7.836 3.209 0.252
-1.057 0.153 6.228
-0.762 -1.212 -0.100
-3.761 2.234 1.596
-2.287 -3.635 -0.299
-2.578 -2.041 3.210
-3.034 -0.184 4.779
-5.282 0.041 -1.422
-1.252 0.596 2.329
-6.061 3.582 2.800
-5.086 -0.403 2.477
-0.278 -3.389 2.006
-0.768 -1.600 4.667
-8.335 5.122 1.477
-5.571 1.793 0.139
1.997 -4.929 3.329
-3.530 1.902 3.879
-2.808 -1.708 0.927
```

=====

Here is a relaxed Ce2Si9Ni17 crystal from the Materials Project. Energies are from PBE-GGA.

## Properties
ΔH_f (0 K) ... -0.60 eV per atom
M_tot ... 0.008 μB per formula unit

Geometry as POSCAR:
```
Ce2Si9Ni17
1.0
0.000 5.633 5.710
5.422 0.000 5.710
5.422 5.633 0.000
Si Ni Ce
9 17 2
Cartesian
3.543 5.633 4.376
0.000 0.000 0.000
5.422 9.231 7.098
5.422 2.035 4.323
7.301 5.633 7.045
5.422 2.035 7.098
3.543 5.633 7.045
5.422 9.231 4.323
7.301 5.633 4.376
1.873 4.359 5.710
4.046 5.633 9.306
5.422 5.633 5.710
4.168 3.596 5.710
6.676 3.596 5.710
8.972 6.907 5.710
5.422 4.205 7.824
8.972 4.359 5.710
5.422 7.061 7.824
6.676 7.669 5.710
1.873 6.907 5.710
4.168 7.669 5.710
6.799 5.633 9.306
5.422 7.061 3.596
4.046 5.633 2.114
6.799 5.633 2.114
5.422 4.205 3.596
8.133 8.449 8.565
2.711 2.816 2.855
```

=====

Here is a relaxed Ce10Si5Ni crystal from the Materials Project. Energies are from PBE-GGA.

## Properties
ΔH_f (0 K) ... -0.49 eV per atom
M_tot ... 9.040 μB per formula unit

Geometry as POSCAR:
```
Ce10Si5Ni
1.0
-0.382 5.871 6.002
-5.080 -0.165 6.689
3.183 -1.696 6.779
Ce Si Ni
10 5 1
Cartesian
0.070 4.551 12.609
-2.759 1.783 11.988
-2.347 -0.533 6.853
-5.016 1.751 8.678
0.480 2.226 7.482
-2.220 4.538 9.328
-2.732 2.846 6.353
1.207 5.015 9.399
-0.060 -0.528 10.142
2.738 2.267 10.785
-1.722 -0.969 12.606
-0.571 0.996 4.873
-1.711 3.001 14.608
-2.047 1.500 9.041
-0.235 2.497 10.441
-0.553 5.002 6.841
```

=====

Here is a relaxed Ce2Si3Ni crystal from the Materials Project. Energies are from PBE-GGA.

## Properties
ΔH_f (0 K) ... -0.74 eV per atom
M_tot ... 0.053 μB per formula unit

Geometry as POSCAR:
```
Ce2Si3Ni
1.0
2.037 -3.529 0.000
2.037 3.529 0.000
0.000 0.000 8.016
Si Ni Ce
3 1 2
Cartesian
2.037 -1.176 4.008
0.000 0.000 0.000
0.000 0.000 4.008
2.037 -1.176 0.000
2.037 1.176 1.946
2.037 1.176 6.069
```

=====

> Look up the ΔH_f (0 K) of the eighth one.

-0.58 eV per atom